A relaxed Na5MgBiO5 crystal. Source: Materials Project, functional PBE-GGA.

Energy of formation: -1.712 eV per atom
Space-group type: No. 1
VASP energy: -53.9 eV for the cell shown

Lattice parameters (Å, degrees): 5.592 6.379 6.785 78.51 93.85 59.13
Fractional positions:
Na 0.524 0.715 0.903
Na 0.783 0.603 0.362
Na 0.397 0.450 0.643
Na 0.421 0.378 0.198
Na 0.017 0.041 0.485
Mg 0.080 0.338 0.919
Bi 0.915 0.964 0.026
O 0.129 0.634 0.873
O 0.489 0.036 0.032
O 0.125 0.709 0.332
O 0.867 0.331 0.679
O 0.858 0.327 0.144

=====

A relaxed NdAgPb crystal. Source: Materials Project, functional PBE-GGA.

Energy of formation: -0.457 eV per atom
Space-group type: No. 186
VASP energy: -25.4 eV for the cell shown

Lattice parameters (Å, degrees): 4.911 4.911 7.741 90.00 90.00 120.00
Fractional positions:
Nd 0.000 0.000 0.989
Nd 0.000 0.000 0.489
Ag 0.667 0.333 0.679
Ag 0.333 0.667 0.179
Pb 0.333 0.667 0.769
Pb 0.667 0.333 0.269

=====

no.,calculated density (g cm⁻³)
1,3.57
2,9.43